Here is an optimized crystal structure of MgFe6O7F5 from the Materials Project. Energies are from PBE+U.

Summary:
DFT formation energy ... -1.967 eV/atom
Energy above the most stable polymorph in this dataset ... 1.89 eV/f.u.

Cell: 4.8946 5.7007 7.9521 Å, 83.99 85.73 86.33°
Last column: nearest neighbours and their distance in Å.
Space group P1 (No. 1)
Inequivalent atoms, fractional coordinates:
Mg  0.0000  0.0000  0.0000 x1  2 F 1.94-1.96, 2 O 1.97-1.99
Fe  0.0387  0.2485  0.3155 x1  3 O 1.87-2.08, 1 F 1.97
Fe  0.4890  0.3637  0.6165 x1  5 O 1.97-2.14, 1 F 2.16
Fe  0.4913  0.0491  0.9486 x1  4 O 2.00-2.10
Fe  0.5104  0.7128  0.2701 x1  3 O 1.96-2.07, 3 F 2.06-2.19
Fe  0.9253  0.5230  0.8980 x1  3 O 1.87-2.04, 1 F 2.04
Fe  0.9532  0.8948  0.6056 x1  3 O 1.93-2.03, 3 F 2.02-2.15
O  0.2038  0.1574  0.5185 x1  2 Fe 1.87-2.03
O  0.2322  0.3144  0.8461 x1  2 Fe 1.90-2.05
O  0.2621  0.9989  0.1793 x1  1 Mg 1.99, 3 Fe 2.07-2.08
O  0.6973  0.4338  0.3859 x1  3 Fe 1.96-2.05
O  0.7213  0.1102  0.7317 x1  3 Fe 1.93-2.00
O  0.7293  0.7557  0.0511 x1  1 Mg 1.97, 3 Fe 1.98-2.10
O  0.7468  0.6127  0.6989 x1  2 Fe 1.87-2.00
F  0.1793  0.8086  0.8278 x1  1 Mg 1.96, 2 Fe 2.12-2.15
F  0.2255  0.5105  0.1838 x1  2 Fe 1.97-2.06
F  0.2640  0.6699  0.5022 x1  3 Fe 2.10-2.16
F  0.7741  0.2680  0.0724 x1  1 Mg 1.94, 1 Fe 2.04
F  0.7753  0.9395  0.3826 x1  3 Fe 2.02-2.25